GGA-PBE ZnCu2O4, optimized geometry; total moment = 0.076 μB/atom; space group = Cm, No. 8; volume = 442.1 Å³/cell; excess energy over the best structure of this formula in the dataset = 66 kJ/mol of formula units
1.0
5.126 -2.972 0.000
5.126 2.972 0.000
-0.077 0.000 14.510
Zn Cu O
6 12 24
Cartesian
0.000 0.000 0.000 Zn
1.648 0.000 12.084 Zn
3.332 0.000 4.231 Zn
3.368 0.000 9.661 Zn
5.094 0.000 7.263 Zn
8.527 0.000 2.396 Zn
-0.012 0.000 5.439 Cu
4.210 1.487 12.085 Cu
5.969 1.482 2.407 Cu
3.450 0.000 0.605 Cu
7.651 1.482 7.254 Cu
6.726 0.000 13.857 Cu
4.210 -1.487 12.085 Cu
6.810 0.000 4.830 Cu
6.819 0.000 10.301 Cu
5.969 -1.482 2.407 Cu
10.172 0.000 9.062 Cu
7.651 -1.482 7.254 Cu
0.072 0.000 3.500 O
2.640 1.420 10.967 O
4.112 1.442 8.375 O
1.674 0.000 1.314 O
1.687 0.000 8.392 O
4.396 1.541 1.302 O
5.784 1.555 13.202 O
3.302 0.000 6.225 O
3.415 0.000 13.207 O
6.112 1.377 6.037 O
5.015 0.000 10.964 O
2.640 -1.420 10.967 O
7.510 1.354 3.590 O
5.212 0.000 3.568 O
4.112 -1.442 8.375 O
6.754 0.000 1.269 O
6.887 0.000 8.340 O
4.396 -1.541 1.302 O
8.445 0.000 6.037 O
6.112 -1.377 6.037 O
5.784 -1.555 13.202 O
8.530 0.000 13.200 O
7.510 -1.354 3.590 O
10.128 0.000 10.966 O



GGA-PBE ZnCuO2, optimized geometry; calculated total energy = -0.341 Ry/atom; total moment = 0.002 μB/atom; space group = P1, No. 1; volume = 192.3 Å³/cell
1.0
2.945 0.000 0.000
-0.509 8.083 0.000
-1.308 -0.214 8.076
Zn Cu O
4 4 8
Cartesian
0.000 0.000 0.000 Zn
-0.759 6.334 5.359 Zn
0.187 2.805 7.161 Zn
1.335 1.246 4.435 Zn
-0.646 3.876 4.202 Cu
0.067 2.211 1.696 Cu
0.717 7.123 2.731 Cu
1.293 5.461 0.303 Cu
-1.323 3.887 8.012 O
-0.750 7.814 3.952 O
-0.105 2.244 5.356 O
-0.372 6.868 7.153 O
1.533 1.509 0.493 O
0.758 5.199 4.546 O
1.547 2.648 2.891 O
2.190 6.674 1.528 O



GGA-PBE ZnCu2O4, optimized geometry; total moment = 0.000 μB/atom; space group = Cmcm, No. 63; volume = 133.9 Å³/cell; excess energy over the best structure of this formula in the dataset = 80 kJ/mol of formula units
1.0
1.469 -4.836 0.000
1.469 4.836 0.000
0.000 0.000 9.425
Zn Cu O
2 4 8
Cartesian
1.469 3.779 7.069 Zn
1.469 -3.779 2.356 Zn
1.469 1.272 5.369 Cu
1.469 1.272 8.769 Cu
1.469 -1.272 0.656 Cu
1.469 -1.272 4.056 Cu
0.000 0.000 0.000 O
0.000 0.000 4.713 O
1.469 2.147 1.060 O
1.469 2.147 3.653 O
1.469 0.393 7.069 O
1.469 -0.393 2.356 O
1.469 -2.147 5.772 O
1.469 -2.147 8.366 O



GGA-PBE ZnCu2O4, optimized geometry; space group = I4_1/amd, No. 141; volume = 162.7 Å³/cell; excess energy over the best structure of this formula in the dataset = 0 kJ/mol of formula units
1.0
-2.737 2.737 5.427
2.737 -2.737 5.427
2.737 2.737 -5.427
Zn Cu O
2 4 8
Cartesian
2.737 1.369 1.357 Zn
0.000 1.369 4.070 Zn
0.000 0.000 0.000 Cu
1.369 1.369 -2.713 Cu
1.369 -1.369 2.713 Cu
0.000 2.737 0.000 Cu
2.737 -0.123 2.675 O
2.737 2.615 -2.675 O
1.246 1.369 0.039 O
1.491 -1.369 5.465 O
1.246 4.106 -0.039 O
1.491 1.369 5.388 O
0.000 0.123 8.101 O
0.000 2.860 2.752 O



GGA-PBE ZnCu2O4, optimized geometry; total moment = 0.000 μB/atom; space group = Cm, No. 8; volume = 593.1 Å³/cell; excess energy over the best structure of this formula in the dataset = 13 kJ/mol of formula units
1.0
5.139 -2.979 0.000
5.139 2.979 0.000
-3.488 0.000 19.369
Zn Cu O
8 16 32
Cartesian
0.000 0.000 0.000 Zn
-1.832 0.000 11.541 Zn
-1.766 0.000 16.937 Zn
-0.039 0.000 14.543 Zn
1.610 0.000 6.650 Zn
3.395 0.000 9.683 Zn
6.831 0.000 4.824 Zn
8.558 0.000 2.427 Zn
2.572 1.491 0.001 Cu
0.828 1.488 9.681 Cu
1.747 0.000 3.031 Cu
2.524 1.482 14.535 Cu
4.270 1.481 4.840 Cu
1.672 0.000 12.097 Cu
1.705 0.000 17.589 Cu
2.572 -1.491 0.001 Cu
0.828 -1.488 9.681 Cu
5.089 0.000 1.771 Cu
5.118 0.000 7.262 Cu
5.132 0.000 12.716 Cu
2.524 -1.482 14.535 Cu
4.270 -1.481 4.840 Cu
5.045 0.000 16.341 Cu
8.570 0.000 7.857 Cu
-1.844 0.000 13.516 O
-0.035 0.000 3.746 O
2.688 1.546 3.732 O
0.981 1.382 13.317 O
4.145 1.562 1.117 O
1.778 0.000 1.128 O
0.028 0.000 10.878 O
2.376 1.363 10.870 O
1.597 0.000 8.641 O
-0.099 0.000 18.243 O
2.645 1.557 18.248 O
4.426 1.389 8.470 O
4.106 1.538 15.650 O
3.495 0.000 5.994 O
1.762 0.000 15.621 O
5.808 1.346 6.018 O
5.050 0.000 3.699 O
3.333 0.000 13.303 O
0.981 -1.382 13.317 O
2.688 -1.546 3.732 O
2.376 -1.363 10.870 O
4.145 -1.562 1.117 O
6.897 0.000 1.119 O
5.223 0.000 10.731 O
5.013 0.000 18.246 O
6.796 0.000 8.478 O
4.426 -1.389 8.470 O
2.645 -1.557 18.248 O
5.808 -1.346 6.018 O
4.106 -1.538 15.650 O
6.813 0.000 15.678 O
8.642 0.000 5.929 O



GGA-PBE ZnCu2O4, optimized geometry; total moment = 0.555 μB/atom; space group = Fd-3m, No. 227; volume = 147.7 Å³/cell; excess energy over the best structure of this formula in the dataset = 31 kJ/mol of formula units
1.0
0.000 4.195 4.195
4.195 0.000 4.195
4.195 4.195 0.000
Zn Cu O
2 4 8
Cartesian
1.049 1.049 1.049 Zn
7.342 7.342 7.342 Zn
4.195 2.098 2.098 Cu
2.098 4.195 2.098 Cu
2.098 2.098 4.195 Cu
4.195 4.195 4.195 Cu
2.188 2.188 2.188 O
4.105 4.105 2.188 O
4.105 2.188 4.105 O
6.202 4.286 4.286 O
2.188 4.105 4.105 O
4.286 6.202 4.286 O
4.286 4.286 6.202 O
6.202 6.202 6.202 O



GGA-PBE ZnCuO2, optimized geometry; calculated total energy = -0.342 Ry/atom; total moment = 0.050 μB/atom; space group = P1, No. 1; volume = 195.1 Å³/cell
1.0
3.215 0.000 0.000
-1.497 7.688 0.000
-0.817 -1.853 7.891
Zn Cu O
4 4 8
Cartesian
0.000 0.000 0.000 Zn
-0.223 1.293 3.043 Zn
-0.059 6.221 2.530 Zn
1.518 2.551 0.290 Zn
-1.218 6.172 5.290 Cu
-0.066 3.313 6.828 Cu
0.809 3.832 4.188 Cu
1.918 0.918 5.501 Cu
-0.095 1.849 1.216 O
-0.272 -0.262 6.587 O
-0.709 4.911 3.954 O
-0.673 5.114 6.788 O
1.348 2.025 4.054 O
1.415 2.125 6.957 O
2.461 -0.353 4.103 O
1.545 6.458 1.493 O



GGA-PBE ZnCu2O4, optimized geometry; total moment = 0.070 μB/atom; space group = Imma, No. 74; volume = 148.8 Å³/cell; excess energy over the best structure of this formula in the dataset = 77 kJ/mol of formula units
1.0
-2.983 3.010 4.141
2.983 -3.010 4.141
2.983 3.010 -4.141
Zn Cu O
2 4 8
Cartesian
-1.492 1.505 2.071 Zn
1.492 1.505 2.071 Zn
0.000 0.000 0.000 Cu
2.983 1.505 -1.116 Cu
0.000 3.010 0.000 Cu
0.000 1.505 5.257 Cu
1.374 1.505 -0.047 O
1.609 -1.505 4.094 O
0.000 0.094 1.926 O
2.983 0.094 2.215 O
0.000 2.917 1.926 O
2.983 2.917 2.215 O
1.374 4.516 0.047 O
1.609 1.505 4.188 O



GGA-PBE ZnCuO2, optimized geometry; calculated total energy = -0.340 Ry/atom; total moment = 0.130 μB/atom; space group = P-1, No. 2; volume = 196.1 Å³/cell
1.0
2.981 0.000 0.000
-0.277 7.939 0.000
-0.711 -0.082 8.286
Zn Cu O
4 4 8
Cartesian
0.119 3.282 2.180 Zn
0.070 1.822 7.387 Zn
1.923 6.034 0.900 Zn
1.874 4.575 6.107 Zn
-0.166 7.282 6.583 Cu
0.966 5.977 3.600 Cu
1.027 1.880 4.686 Cu
2.159 0.574 1.704 Cu
-0.540 5.933 4.744 O
0.652 1.715 0.995 O
0.435 7.128 1.980 O
0.385 3.310 6.216 O
1.608 4.547 2.070 O
1.558 0.729 6.306 O
1.341 6.142 7.291 O
2.533 1.923 3.542 O



GGA-PBE ZnCu2O4, optimized geometry; total moment = 0.000 μB/atom; space group = P-1, No. 2; volume = 158.4 Å³/cell; excess energy over the best structure of this formula in the dataset = 86 kJ/mol of formula units
1.0
3.229 0.000 0.000
-0.223 7.058 0.000
-1.389 -0.960 6.951
Zn Cu O
2 4 8
Cartesian
0.278 2.130 1.212 Zn
1.340 3.967 5.740 Zn
-0.343 4.401 3.247 Cu
0.995 6.636 1.341 Cu
0.622 -0.539 5.610 Cu
1.961 1.696 3.704 Cu
-0.362 5.472 1.777 O
-0.403 3.083 4.671 O
-0.278 4.924 6.568 O
0.734 0.729 2.728 O
0.884 5.368 4.223 O
1.895 1.174 0.383 O
2.021 3.014 2.280 O
1.980 0.625 5.174 O



GGA-PBE ZnCu2O4, optimized geometry; total moment = 0.000 μB/atom; space group = I4_1/a, No. 88; volume = 150.7 Å³/cell; excess energy over the best structure of this formula in the dataset = 34 kJ/mol of formula units
1.0
-3.059 3.059 4.027
3.059 -3.059 4.027
3.059 3.059 -4.027
Zn Cu O
2 4 8
Cartesian
0.000 1.529 1.007 Zn
3.059 1.529 3.020 Zn
1.529 1.529 -2.013 Cu
1.529 -1.529 2.013 Cu
3.059 0.000 0.000 Cu
0.000 0.000 4.027 Cu
1.609 1.209 -0.158 O
2.738 -0.080 1.855 O
2.738 2.978 -1.855 O
1.449 -1.209 3.869 O
1.609 4.267 0.158 O
0.321 0.080 5.882 O
0.321 3.139 2.171 O
1.449 1.850 4.185 O



GGA-PBE ZnCu2O4, optimized geometry; total moment = 0.399 μB/atom; space group = P3m1, No. 156; volume = 445.2 Å³/cell; excess energy over the best structure of this formula in the dataset = 38 kJ/mol of formula units
1.0
5.947 0.000 0.000
-2.974 5.150 0.000
0.000 0.000 14.535
Zn Cu O
6 12 24
Cartesian
0.000 0.000 0.000 Zn
0.000 0.000 3.550 Zn
0.000 3.434 8.420 Zn
2.974 1.717 4.207 Zn
2.974 1.717 9.652 Zn
2.974 1.717 13.274 Zn
0.000 0.000 9.061 Cu
4.460 2.575 1.782 Cu
0.000 1.716 11.472 Cu
-1.488 4.292 11.472 Cu
1.485 0.857 6.623 Cu
0.000 3.434 4.836 Cu
0.000 3.434 13.873 Cu
2.974 0.000 1.782 Cu
1.487 2.575 1.782 Cu
1.488 4.292 11.472 Cu
4.462 0.857 6.623 Cu
2.974 3.436 6.623 Cu
0.000 0.000 5.542 O
0.000 0.000 12.544 O
-1.357 2.650 12.631 O
0.000 1.553 7.775 O
-1.629 4.374 7.775 O
0.000 1.895 0.649 O
-1.332 4.203 0.649 O
1.358 0.784 10.314 O
0.000 3.434 2.919 O
0.000 3.434 10.414 O
1.598 0.923 2.860 O
1.357 2.650 12.631 O
0.000 5.000 12.631 O
2.974 0.099 5.539 O
1.572 2.526 5.539 O
1.332 4.203 0.649 O
2.974 1.717 0.701 O
2.974 1.717 7.669 O
1.629 4.374 7.775 O
4.349 0.923 2.860 O
2.974 3.305 2.860 O
4.589 0.784 10.314 O
2.974 3.582 10.314 O
4.375 2.526 5.539 O



GGA-PBE Sc2CuOs, optimized geometry; calculated total energy = -0.544 Ry/atom; space group = Fm-3m, No. 225; volume = 67.7 Å³/cell
1.0
0.000 3.235 3.235
3.235 0.000 3.235
3.235 3.235 0.000
Sc Cu Os
2 1 1
Cartesian
1.617 1.617 1.617 Sc
4.852 4.852 4.852 Sc
0.000 0.000 0.000 Cu
3.235 3.235 3.235 Os



GGA-PBE CuP2, optimized geometry; calculated total energy = -0.374 Ry/atom; space group = P2_1/c, No. 14; volume = 194.5 Å³/cell
1.0
5.805 0.000 0.000
0.000 4.820 0.000
-2.905 0.000 6.952
Cu P
4 8
Cartesian
-0.367 0.181 2.907 Cu
-1.820 2.229 6.383 Cu
4.719 2.591 0.569 Cu
3.267 4.639 4.045 Cu
-0.602 3.482 4.858 P
0.851 3.748 1.382 P
2.125 0.557 0.557 P
0.673 1.853 4.033 P
2.227 2.967 2.919 P
0.774 4.263 6.395 P
2.049 1.072 5.570 P
3.501 1.338 2.094 P



GGA-PBE Cu3P, optimized geometry; calculated total energy = -0.327 Ry/atom; space group = P6_3cm, No. 185; volume = 301.0 Å³/cell
1.0
6.958 0.000 0.000
-3.479 6.026 0.000
0.000 0.000 7.178
Cu P
18 6
Cartesian
0.000 0.000 0.000 Cu
0.000 0.000 3.589 Cu
-0.946 1.638 1.794 Cu
-1.337 2.315 4.296 Cu
-2.142 3.711 0.707 Cu
-2.534 4.388 5.383 Cu
1.891 0.000 1.794 Cu
0.946 1.638 5.383 Cu
0.000 4.017 2.584 Cu
0.000 4.017 6.173 Cu
2.673 0.000 4.296 Cu
1.337 2.315 0.707 Cu
4.285 0.000 0.707 Cu
2.142 3.711 4.296 Cu
3.479 2.009 2.584 Cu
3.479 2.009 6.173 Cu
5.067 0.000 5.383 Cu
2.534 4.388 1.794 Cu
-1.151 1.993 6.626 P
-2.328 4.033 3.037 P
2.301 0.000 6.626 P
1.151 1.993 3.037 P
4.657 0.000 3.037 P
2.328 4.033 6.626 P